Material: Ti7Fe9O24
Method: DFT, PBE with a Hubbard U
State: relaxed

## Properties
excess energy over the best structure of this formula in the dataset	0.006	eV/atom
energy	-7.909	eV/atom
total moment	38.00	μB/f.u.
symmetry	P1, No. 1

Cell lengths 5.1466, 5.6126, 15.1257 Å; angles 83.75, 89.94, 89.79 degrees
Fractional positions:
O1 0.8307 0.3354 0.1975
O2 0.3667 0.1472 0.2932
O3 0.7025 0.5205 0.8680
O4 0.6895 0.5224 0.3717
O5 0.2899 0.4877 0.6271
O6 0.6767 0.1500 0.0550
O7 0.1758 0.6386 0.8049
O8 0.6298 0.8478 0.2054
O9 0.8166 0.0119 0.8711
O10 0.1997 0.0264 0.1183
O11 0.6771 0.1659 0.5559
O12 0.3287 0.8462 0.4462
O13 0.3215 0.1525 0.7960
O14 0.1314 0.3499 0.4535
O15 0.6334 0.8509 0.7089
O16 0.1922 0.0241 0.6207
O17 0.8617 0.6443 0.0481
O18 0.8615 0.6469 0.5423
O19 0.3572 0.8354 0.9465
O20 0.8430 0.3359 0.7089
O21 0.8035 0.9739 0.3787
O22 0.3113 0.4786 0.1266
O23 0.1276 0.3413 0.9528
O24 0.1685 0.6602 0.3022
Ti1 0.4996 0.7892 0.3217
Ti2 0.9992 0.7124 0.4270
Ti3 0.0121 0.2962 0.5700
Ti4 0.4964 0.2095 0.1773
Ti5 0.0000 0.2870 0.8197
Ti6 0.4954 0.7810 0.8255
Ti7 0.9961 0.2932 0.0736
Fe1 0.4960 0.7930 0.5732
Fe2 0.5063 0.2114 0.4278
Fe3 0.0069 0.7107 0.9302
Fe4 0.9975 0.7133 0.6766
Fe5 0.0041 0.7114 0.1758
Fe6 0.4954 0.2058 0.9305
Fe7 0.9968 0.2903 0.3220
Fe8 0.4966 0.2071 0.6737
Fe9 0.5050 0.7948 0.0757

Material: Li3Ni7O12
Method: DFT, PBE with a Hubbard U
State: relaxed

## Properties
energy	-4.832	eV/atom
total moment	7.00	μB/f.u.
symmetry	P1, No. 1

Cell lengths 4.9758, 4.9802, 28.6487 Å; angles 90.17, 90.06, 119.73 degrees
Fractional positions:
O1 0.7959 0.9924 0.0467
O2 0.8075 0.3449 0.7136
O3 0.5063 0.6990 0.9553
O4 0.5381 0.3429 0.0454
O5 0.7985 0.0011 0.2881
O6 0.8030 0.9737 0.7872
O7 0.5412 0.3618 0.7876
O8 0.7954 0.3309 0.9549
O9 0.1731 0.6608 0.0470
O10 0.7974 0.6607 0.3802
O11 0.1797 0.6856 0.7860
O12 0.5206 0.9834 0.8771
O13 0.5151 0.3708 0.2886
O14 0.1717 0.6595 0.2856
O15 0.8037 0.6316 0.6201
O16 0.1885 0.6975 0.5458
O17 0.5431 0.6938 0.4547
O18 0.8049 0.6320 0.8795
O19 0.8001 0.2986 0.2125
O20 0.7971 0.6347 0.1194
O21 0.1777 0.3467 0.6188
O22 0.1836 0.9849 0.7135
O23 0.5278 0.6753 0.7129
O24 0.8180 0.9878 0.5485
O25 0.1763 0.0148 0.4527
O26 0.1737 0.3481 0.8807
O27 0.7978 0.3009 0.4532
O28 0.5146 0.6478 0.2103
O29 0.1758 0.3295 0.3805
O30 0.1683 0.9912 0.9521
O31 0.4609 0.0025 0.6228
O32 0.5301 0.3282 0.5436
O33 0.1754 0.3465 0.1190
O34 0.1691 0.0127 0.2144
O35 0.5412 0.0290 0.1210
O36 0.5390 0.0139 0.3792
Ni1 0.4928 0.3299 0.4167
Ni2 0.8331 0.0004 0.9166
Ni3 0.4905 0.3281 0.9167
Ni4 0.1623 0.6645 0.9165
Ni5 0.4953 0.6570 0.8318
Ni6 0.1625 0.0039 0.5833
Ni7 0.4970 0.6657 0.5832
Ni8 0.8293 0.3271 0.5835
Ni9 0.4935 0.3239 0.1649
Ni10 0.8330 0.6687 0.2499
Ni11 0.8423 0.3369 0.0831
Ni12 0.1624 0.3324 0.2500
Ni13 0.8437 0.0047 0.4167
Ni14 0.8413 0.6749 0.7503
Ni15 0.4906 0.9955 0.2500
Ni16 0.4875 0.3313 0.6687
Ni17 0.5011 0.9989 0.7503
Ni18 0.4919 0.9932 0.4980
Ni19 0.4903 0.6613 0.0830
Ni20 0.4929 0.6717 0.3351
Ni21 0.4917 0.0030 0.0016
Li1 0.1660 0.9974 0.0836
Li2 0.8403 0.6602 0.4989
Li3 0.8334 0.6680 0.0015
Li4 0.8330 0.3349 0.3345
Li5 0.1669 0.6667 0.4167
Li6 0.1618 0.3228 0.7500
Li7 0.8291 0.9950 0.1658
Li8 0.8332 0.3264 0.8322
Li9 0.1630 0.6669 0.6679

Material: VPO7
Method: DFT, PBE with a Hubbard U
State: relaxed

## Properties
excess energy over the best structure of this formula in the dataset	0.110	eV/atom
energy	-6.188	eV/atom
total moment	4.00	μB/f.u.
symmetry	P4/nmm, No. 129

Cell lengths 6.2654, 6.2654, 7.4228 Å; angles 90.00, 90.00, 90.00 degrees
Fractional positions:
O1 0.0000 0.0000 0.0000
O2 0.3036 0.5000 0.6268
O3 0.1964 0.0000 0.3732
O4 0.5000 0.3036 0.3732
O5 0.5000 0.6964 0.3732
O6 0.0000 0.1964 0.6268
O7 0.5000 0.0000 0.1077
O8 0.8036 0.0000 0.3732
O9 0.0000 0.5000 0.8923
O10 0.0000 0.8036 0.6268
O11 0.0000 0.5000 0.3668
O12 0.6964 0.5000 0.6268
O13 0.5000 0.5000 0.0000
O14 0.5000 0.0000 0.6332
V1 0.0000 0.5000 0.5833
V2 0.5000 0.0000 0.4167
P1 0.5000 0.5000 0.5000
P2 0.0000 0.0000 0.5000

Material: CaNiF5
Method: DFT, PBE with a Hubbard U
State: relaxed

## Properties
excess energy over the best structure of this formula in the dataset	0.000	eV/atom
energy	-4.681	eV/atom
symmetry	P2_1/c, No. 14

Cell lengths 10.0657, 5.5026, 7.6984 Å; angles 69.75, 90.00, 90.00 degrees
Fractional positions:
F1 0.2987 0.8500 0.1621
F2 0.1065 0.1168 0.3114
F3 0.7013 0.1500 0.8379
F4 0.1373 0.1646 0.8614
F5 0.8935 0.8832 0.6886
F6 0.6373 0.8354 0.6386
F7 0.3799 0.6132 0.9436
F8 0.6201 0.3868 0.0564
F9 0.8627 0.8354 0.1386
F10 0.8799 0.3868 0.5564
F11 0.2013 0.8500 0.6621
F12 0.6141 0.3554 0.5058
F13 0.7987 0.1500 0.3379
F14 0.3859 0.6446 0.4942
F15 0.8859 0.3554 0.0058
F16 0.3935 0.1168 0.8114
F17 0.1201 0.6132 0.4436
F18 0.3627 0.1646 0.3614
F19 0.1141 0.6446 0.9942
F20 0.6065 0.8832 0.1886
Ni1 0.7470 0.1097 0.0988
Ni2 0.7530 0.1097 0.5988
Ni3 0.2530 0.8903 0.9012
Ni4 0.2470 0.8903 0.4012
Ca1 0.9784 0.4671 0.2566
Ca2 0.0216 0.5329 0.7434
Ca3 0.4784 0.5329 0.2434
Ca4 0.5216 0.4671 0.7566

Number 1: energy of formation -2.573 eV per atom. Number 2: energy of formation -1.217 eV per atom. Number 3: energy of formation -1.452 eV per atom. Number 4: energy of formation -2.894 eV per atom.